(1)
A relaxed structure of CsRuF6. Source: the Materials Project database, functional r2SCAN.

a = 5.3028 Å, b = 5.3028 Å, c = 5.3028 Å
α = 97.40°, β = 97.40°, γ = 97.40°
Atoms (fractional coordinates):
F 0.9185 0.2488 0.2488
F 0.7512 0.7512 0.0815
F 0.2488 0.2488 0.9185
F 0.0815 0.7512 0.7512
F 0.2488 0.9185 0.2488
F 0.7512 0.0815 0.7512
Cs 0.5000 0.5000 0.5000
Ru 0.0000 0.0000 0.0000

Properties
Final energy, eV/atom: -11.021
Size of the total moment, μB per atom: 0.38
Mass density, kg/m3: 3984
Calculated formation energy, meV per atom: -2360

---

(2)
A relaxed structure of CsSbF4. Source: the Materials Project database, functional r2SCAN.

a = 6.3092 Å, b = 9.5685 Å, c = 15.6318 Å
α = 90.00°, β = 90.00°, γ = 90.00°
Atoms (fractional coordinates):
F 0.2549 0.6229 0.5843
Cs 0.0000 0.1391 0.7372
F 0.2216 0.3399 0.0485
F 0.2549 0.1229 0.9157
F 0.0000 0.8368 0.5960
F 0.2758 0.3904 0.7050
F 0.7784 0.6601 0.9515
F 0.0000 0.6632 0.0960
Cs 0.5000 0.4102 0.8846
Sb 0.5000 0.9708 0.8722
F 0.2549 0.8771 0.0843
Cs 0.5000 0.0898 0.3846
Cs 0.0000 0.3609 0.2372
F 0.5000 0.8857 0.2169
F 0.7451 0.8771 0.0843
F 0.7784 0.1601 0.5485
Sb 0.5000 0.5292 0.3722
F 0.0000 0.3368 0.9040
F 0.0000 0.1632 0.4040
Cs 0.0000 0.8609 0.2628
F 0.2758 0.6096 0.2950
F 0.7784 0.8399 0.4515
Sb 0.5000 0.0292 0.1278
Sb 0.0000 0.2888 0.5019
F 0.5000 0.1143 0.7831
Cs 0.5000 0.5898 0.1154
F 0.2216 0.6601 0.9515
F 0.7242 0.1096 0.2050
Sb 0.0000 0.7888 0.9981
Sb 0.0000 0.2112 0.0019
F 0.7451 0.3771 0.4157
F 0.5000 0.3857 0.2831
F 0.7451 0.1229 0.9157
Sb 0.5000 0.4708 0.6278
F 0.7242 0.8904 0.7950
F 0.2216 0.8399 0.4515
F 0.2216 0.1601 0.5485
F 0.2549 0.3771 0.4157
Cs 0.0000 0.6391 0.7628
F 0.7784 0.3399 0.0485
F 0.7242 0.6096 0.2950
F 0.2758 0.1096 0.2050
F 0.7242 0.3904 0.7050
F 0.5000 0.6143 0.7169
F 0.2758 0.8904 0.7950
Sb 0.0000 0.7112 0.4981
Cs 0.5000 0.9102 0.6154
F 0.7451 0.6229 0.5843

Properties
Final energy, eV/atom: -13.294
Size of the total moment, μB per atom: 0.00
Mass density, kg/m3: 4655
Calculated formation energy, meV per atom: -2741

---

(3)
A relaxed structure of Cs3ScF6. Source: the Materials Project database, functional r2SCAN.

a = 6.8065 Å, b = 6.8065 Å, c = 6.8065 Å
α = 60.00°, β = 60.00°, γ = 60.00°
Atoms (fractional coordinates):
F 0.2101 0.7899 0.2101
F 0.2101 0.7899 0.7899
Cs 0.2500 0.2500 0.2500
F 0.2101 0.2101 0.7899
F 0.7899 0.2101 0.2101
F 0.7899 0.2101 0.7899
F 0.7899 0.7899 0.2101
Cs 0.7500 0.7500 0.7500
Sc 0.0000 0.0000 0.0000
Cs 0.5000 0.5000 0.5000

Properties
Final energy, eV/atom: -14.050
Size of the total moment, μB per atom: 0.00
Mass density, kg/m3: 4153
Calculated formation energy, meV per atom: -3502

---

(4)
A relaxed structure of Cs3ScF6. Source: the Materials Project database, functional r2SCAN.

a = 6.6902 Å, b = 6.6902 Å, c = 9.8089 Å
α = 90.00°, β = 90.00°, γ = 90.00°
Atoms (fractional coordinates):
Cs 0.0000 0.0000 0.5000
Cs 0.0000 0.5000 0.2500
F 0.7695 0.6384 0.5000
F 0.0000 0.0000 0.7922
F 0.7305 0.1384 0.0000
F 0.5000 0.5000 0.7078
Cs 0.5000 0.0000 0.7500
F 0.5000 0.5000 0.2922
F 0.8616 0.7305 0.0000
Cs 0.0000 0.5000 0.7500
Cs 0.5000 0.0000 0.2500
Cs 0.5000 0.5000 0.0000
F 0.6384 0.2305 0.5000
F 0.2305 0.3616 0.5000
F 0.1384 0.2695 0.0000
F 0.2695 0.8616 0.0000
F 0.0000 0.0000 0.2078
Sc 0.0000 0.0000 0.0000
Sc 0.5000 0.5000 0.5000
F 0.3616 0.7695 0.5000

Properties
Final energy, eV/atom: -14.063
Size of the total moment, μB per atom: 0.00
Mass density, kg/m3: 4218
Calculated formation energy, meV per atom: -3515

---

(5)
A relaxed structure of CsSc3F10. Source: the Materials Project database, functional r2SCAN.

a = 6.8306 Å, b = 7.5930 Å, c = 8.1268 Å
α = 90.00°, β = 90.00°, γ = 90.00°
Atoms (fractional coordinates):
Cs 0.9994 0.5000 0.5000
F 0.4923 0.2765 0.0000
F 0.6719 0.5005 0.7513
F 0.3281 0.5005 0.7487
F 0.2002 0.8052 0.7431
F 0.6719 0.4995 0.2487
F 0.5000 0.0006 0.7500
F 0.7999 0.8042 0.2432
F 0.4923 0.7235 0.0000
Cs 0.0006 0.5000 0.0000
F 0.9887 0.0000 0.5000
F 0.7998 0.8052 0.7569
Sc 0.0000 0.0004 0.7500
F 0.7997 0.1948 0.2431
F 0.2001 0.8042 0.2568
Sc 0.5000 0.7301 0.2500
Sc 0.5000 0.2689 0.2500
F 0.5077 0.2765 0.5000
F 0.7999 0.1958 0.7568
Sc 0.5000 0.2699 0.7500
F 0.2003 0.1948 0.2569
F 0.5000 0.9994 0.2500
Sc 0.5000 0.7311 0.7500
F 0.2001 0.1958 0.7432
F 0.0113 0.0000 0.0000
F 0.3281 0.4995 0.2513
F 0.5077 0.7235 0.5000
Sc 0.0000 0.9996 0.2500

Properties
Final energy, eV/atom: -10.558
Size of the total moment, μB per atom: 0.00
Mass density, kg/m3: 3607
Calculated formation energy, meV per atom: -4089

---

(6)
A relaxed structure of Cs2SnF6. Source: the Materials Project database, functional r2SCAN.

a = 6.3044 Å, b = 6.3044 Å, c = 5.0040 Å
α = 90.00°, β = 90.00°, γ = 120.00°
Atoms (fractional coordinates):
Cs 0.6667 0.3333 0.6969
F 0.6966 0.8483 0.7810
F 0.8483 0.6966 0.2190
F 0.1517 0.8483 0.7810
Cs 0.3333 0.6667 0.3031
F 0.1517 0.3034 0.7810
F 0.8483 0.1517 0.2190
Sn 0.0000 0.0000 0.0000
F 0.3034 0.1517 0.2190

Properties
Final energy, eV/atom: -13.390
Size of the total moment, μB per atom: 0.00
Mass density, kg/m3: 4806
Calculated formation energy, meV per atom: -2977

---

(7)
A relaxed structure of CsSnF3. Source: the Materials Project database, functional r2SCAN.

a = 6.6392 Å, b = 6.6392 Å, c = 6.6392 Å
α = 64.60°, β = 64.60°, γ = 64.60°
Atoms (fractional coordinates):
F 0.2205 0.6749 0.3744
F 0.1749 0.7205 0.8744
Sn 0.0049 0.0049 0.0049
F 0.6749 0.3744 0.2205
Cs 0.7537 0.7537 0.7537
F 0.7205 0.8744 0.1749
F 0.3744 0.2205 0.6749
Sn 0.5049 0.5049 0.5049
Cs 0.2537 0.2537 0.2537
F 0.8744 0.1749 0.7205

Properties
Final energy, eV/atom: -14.490
Size of the total moment, μB per atom: 0.00
Mass density, kg/m3: 4499
Calculated formation energy, meV per atom: -2644

---

(8)
A relaxed structure of CsSnF3. Source: the Materials Project database, functional r2SCAN.

a = 6.6858 Å, b = 4.5061 Å, c = 15.1719 Å
α = 72.75°, β = 90.00°, γ = 90.00°
Atoms (fractional coordinates):
F 0.0689 0.1145 0.1339
Cs 0.4768 0.8937 0.8555
F 0.6908 0.4835 0.2683
Sn 0.4753 0.6373 0.6122
F 0.2955 0.7045 0.0458
F 0.3092 0.5165 0.7317
F 0.4311 0.1145 0.6339
F 0.5689 0.8855 0.3661
Cs 0.9768 0.1063 0.6445
Sn 0.9753 0.3627 0.8878
F 0.8092 0.4835 0.7683
Cs 0.5232 0.1063 0.1445
Cs 0.0232 0.8937 0.3555
F 0.9311 0.8855 0.8661
Sn 0.5247 0.3627 0.3878
Sn 0.0247 0.6373 0.1122
F 0.2045 0.7045 0.5458
F 0.7955 0.2955 0.4542
F 0.1908 0.5165 0.2317
F 0.7045 0.2955 0.9542

Properties
Final energy, eV/atom: -14.522
Size of the total moment, μB per atom: 0.00
Mass density, kg/m3: 4696
Calculated formation energy, meV per atom: -2676